Run P
DFT (PBE with a Hubbard U) results for a geometry-optimized K2NaMgVOF5 structure.

a = 8.580 Å, b = 10.015 Å, c = 6.158 Å
α = 90.00°, β = 133.83°, γ = 90.00°
Space group Cm (No. 8)
Asymmetric unit:
K 0.000 0.189 0.000 x4
Na 0.066 0.000 0.640 x2
Mg 0.087 0.500 0.193 x2
V 0.069 0.500 0.655 x2
O 0.291 0.500 0.615 x2
F 0.071 0.285 0.674 x4
F 0.292 0.500 0.140 x2
F 0.339 0.000 0.162 x2
F 0.371 0.000 0.756 x2

Run Q
DFT (PBE with a Hubbard U) results for a geometry-optimized K2NaMgVOF5 structure.

a = 5.814 Å, b = 6.197 Å, c = 6.236 Å
α = 78.02°, β = 62.23°, γ = 62.06°
Space group P1 (No. 1)
Asymmetric unit:
K 0.000 0.000 0.000 x1
K 0.474 0.725 0.326 x1
Na 0.170 0.289 0.371 x1
Mg 0.438 0.329 0.795 x1
V 0.729 0.838 0.704 x1
O 0.456 0.067 0.024 x1
F 0.074 0.587 0.798 x1
F 0.421 0.119 0.583 x1
F 0.543 0.585 0.804 x1
F 0.873 0.122 0.577 x1
F 0.982 0.682 0.349 x1

Run R
DFT (PBE with a Hubbard U) results for a geometry-optimized K2NaMgVOF5 structure.

a = 5.710 Å, b = 6.020 Å, c = 10.828 Å
α = 90.00°, β = 90.00°, γ = 90.00°
Space group Imm2 (No. 44)
Asymmetric unit:
K 0.000 0.000 0.000 x2
K 0.000 0.000 0.362 x2
Na 0.000 0.500 0.278 x2
Mg 0.000 0.000 0.665 x2
V 0.000 0.500 0.669 x2
O 0.000 0.500 0.479 x2
F 0.000 0.500 0.867 x2
F 0.238 0.223 0.683 x8

Most stable structure: run Q

Run P
DFT (PBE with a Hubbard U) results for a geometry-optimized LiMn2F5 structure.

a = 8.694 Å, b = 8.873 Å, c = 6.514 Å
α = 90.00°, β = 90.00°, γ = 90.00°
Space group Pnnm (No. 58)
Asymmetric unit:
Li 0.244 0.239 0.000 x4
Mn 0.000 0.000 0.252 x4
Mn 0.141 0.628 0.000 x4
F 0.076 0.861 0.500 x4
F 0.086 0.864 0.000 x4
F 0.099 0.393 0.000 x4
F 0.215 0.124 0.246 x8

Run Q
DFT (PBE with a Hubbard U) results for a geometry-optimized LiMn2F5 structure.

a = 7.494 Å, b = 5.224 Å, c = 9.931 Å
α = 90.00°, β = 90.00°, γ = 90.00°
Space group Pna2_1 (No. 33)
Asymmetric unit:
Li 0.120 0.246 0.000 x4
Mn 0.023 0.261 0.639 x4
Mn 0.218 0.266 0.358 x4
F 0.036 0.580 0.932 x4
F 0.066 0.359 0.185 x4
F 0.125 0.974 0.492 x4
F 0.153 0.114 0.810 x4
F 0.221 0.926 0.086 x4

Most stable structure: run P

Run P
DFT (PBE with a Hubbard U) results for a geometry-optimized LiMn2F7 structure.

a = 13.149 Å, b = 5.034 Å, c = 7.500 Å
α = 90.00°, β = 96.40°, γ = 90.00°
Space group P2_1/c (No. 14)
Asymmetric unit:
Li 0.079 0.241 0.337 x4
Mn 0.179 0.748 0.651 x4
Mn 0.391 0.246 0.222 x4
F 0.054 0.564 0.186 x4
F 0.108 0.051 0.069 x4
F 0.173 0.588 0.903 x4
F 0.254 0.043 0.745 x4
F 0.312 0.554 0.642 x4
F 0.389 0.139 0.472 x4
F 0.473 0.537 0.297 x4

Run Q
DFT (PBE with a Hubbard U) results for a geometry-optimized LiMn2F7 structure.

a = 7.262 Å, b = 7.598 Å, c = 9.796 Å
α = 90.00°, β = 91.55°, γ = 90.00°
Space group P2_1/c (No. 14)
Asymmetric unit:
Li 0.113 0.126 0.382 x4
Mn 0.149 0.629 0.429 x4
Mn 0.416 0.620 0.112 x4
F 0.002 0.705 0.287 x4
F 0.061 0.144 0.956 x4
F 0.177 0.580 0.021 x4
F 0.317 0.611 0.576 x4
F 0.327 0.569 0.293 x4
F 0.356 0.155 0.313 x4
F 0.484 0.148 0.564 x4

Run R
DFT (PBE with a Hubbard U) results for a geometry-optimized LiMn2F7 structure.

a = 8.230 Å, b = 9.716 Å, c = 13.001 Å
α = 93.14°, β = 103.00°, γ = 91.04°
Space group P1 (No. 1)
Asymmetric unit:
Li 0.000 0.000 0.000 x1
Li 0.002 0.497 0.003 x1
Li 0.046 0.989 0.602 x1
Li 0.073 0.267 0.433 x1
Li 0.089 0.753 0.428 x1
Li 0.411 0.471 0.514 x1
Li 0.629 0.723 0.883 x1
Li 0.633 0.228 0.892 x1
Mn 0.204 0.487 0.247 x1
Mn 0.204 0.987 0.245 x1
Mn 0.244 0.005 0.874 x1
Mn 0.247 0.504 0.877 x1
Mn 0.344 0.259 0.661 x1
Mn 0.349 0.760 0.657 x1
Mn 0.401 0.727 0.078 x1
Mn 0.410 0.225 0.082 x1
Mn 0.608 0.982 0.321 x1
Mn 0.612 0.481 0.322 x1
Mn 0.709 0.006 0.746 x1
Mn 0.723 0.503 0.742 x1
Mn 0.815 0.250 0.548 x1
Mn 0.832 0.741 0.545 x1
Mn 0.835 0.727 0.173 x1
Mn 0.836 0.225 0.172 x1
F 0.004 0.138 0.271 x1
F 0.004 0.638 0.273 x1
F 0.040 0.880 0.140 x1
F 0.043 0.162 0.552 x1
F 0.043 0.916 0.861 x1
F 0.044 0.379 0.143 x1
F 0.047 0.416 0.867 x1
F 0.055 0.663 0.552 x1
F 0.158 0.137 0.950 x1
F 0.165 0.637 0.958 x1
F 0.175 0.095 0.752 x1
F 0.176 0.877 0.349 x1
F 0.179 0.599 0.762 x1
F 0.184 0.380 0.356 x1
F 0.236 0.896 0.582 x1
F 0.237 0.394 0.579 x1
F 0.241 0.103 0.140 x1
F 0.245 0.602 0.145 x1
F 0.315 0.900 0.993 x1
F 0.323 0.399 0.998 x1
F 0.330 0.865 0.793 x1
F 0.331 0.365 0.797 x1
F 0.375 0.167 0.544 x1
F 0.376 0.663 0.536 x1
F 0.386 0.580 0.340 x1
F 0.389 0.079 0.335 x1
F 0.428 0.862 0.213 x1
F 0.437 0.362 0.220 x1
F 0.445 0.112 0.934 x1
F 0.449 0.612 0.933 x1
F 0.496 0.640 0.741 x1
F 0.499 0.144 0.747 x1
F 0.559 0.388 0.648 x1
F 0.571 0.876 0.656 x1
F 0.572 0.388 0.435 x1
F 0.588 0.876 0.427 x1
F 0.623 0.096 0.206 x1
F 0.632 0.590 0.208 x1
F 0.649 0.792 0.073 x1
F 0.654 0.295 0.071 x1
F 0.687 0.908 0.862 x1
F 0.692 0.408 0.857 x1
F 0.733 0.133 0.420 x1
F 0.737 0.611 0.621 x1
F 0.742 0.627 0.416 x1
F 0.749 0.105 0.627 x1
F 0.789 0.859 0.273 x1
F 0.794 0.355 0.274 x1
F 0.819 0.142 0.842 x1
F 0.823 0.643 0.837 x1
F 0.864 0.109 0.062 x1
F 0.866 0.610 0.064 x1
F 0.876 0.365 0.672 x1
F 0.896 0.378 0.473 x1
F 0.898 0.865 0.665 x1
F 0.914 0.876 0.474 x1

Most stable structure: run P